(1)
VASP calculation (r2SCAN) on an optimized crystal structure of LiNdSe2.

Lattice parameters (Å, degrees): 7.2122 7.2122 7.2122 132.08 132.08 70.10
Element x y z (fractional)
Li  0.3750  0.6250  0.7500
Li  0.6250  0.3750  0.2500
Nd  0.1250  0.8750  0.2500
Nd  0.8750  0.1250  0.7500
Se  0.1246  0.3746  0.7500
Se  0.3746  0.1246  0.2500
Se  0.6254  0.8754  0.7500
Se  0.8754  0.6254  0.2500

Electronic total energy ... -136.1 eV/cell
Space group ... I4_1/amd
ΔE_f ... -1.912 eV/atom



(2)
VASP calculation (r2SCAN) on an optimized crystal structure of Li2Nd2Si3.

Lattice parameters (Å, degrees): 9.5125 9.5125 6.8121 90.00 90.00 153.15
Element x y z (fractional)
Li  0.1888  0.8112  0.5596
Li  0.1888  0.8112  0.9404
Li  0.8112  0.1888  0.0596
Li  0.8112  0.1888  0.4404
Nd  0.3415  0.6585  0.7500
Nd  0.4477  0.5523  0.2500
Nd  0.5523  0.4477  0.7500
Nd  0.6585  0.3415  0.2500
Si  0.0575  0.9425  0.0758
Si  0.0575  0.9425  0.4242
Si  0.2803  0.7197  0.2500
Si  0.7197  0.2803  0.7500
Si  0.9425  0.0575  0.5758
Si  0.9425  0.0575  0.9242

Electronic total energy ... -189.4 eV/cell
Space group ... Cmcm
ΔE_f ... -0.678 eV/atom



(3)
VASP calculation (r2SCAN) on an optimized crystal structure of LiNdTl2.

Lattice parameters (Å, degrees): 5.2518 5.2518 5.2518 60.00 60.00 60.00
Element x y z (fractional)
Li  0.0000  0.0000  0.0000
Nd  0.5000  0.5000  0.5000
Tl  0.2500  0.2500  0.2500
Tl  0.7500  0.7500  0.7500

Electronic total energy ... -139.9 eV/cell
Space group ... Fm-3m
ΔE_f ... -0.427 eV/atom



(4)
VASP calculation (r2SCAN) on an optimized crystal structure of LiNdZn2.

Lattice parameters (Å, degrees): 4.8550 4.8550 4.8550 60.00 60.00 60.00
Element x y z (fractional)
Li  0.0000  0.0000  0.0000
Nd  0.5000  0.5000  0.5000
Zn  0.2500  0.2500  0.2500
Zn  0.7500  0.7500  0.7500

Electronic total energy ... -50.7 eV/cell
Space group ... Fm-3m
ΔE_f ... -0.264 eV/atom



(5)
VASP calculation (r2SCAN) on an optimized crystal structure of LiNi3.

Lattice parameters (Å, degrees): 4.2347 4.2347 4.2347 131.29 131.29 71.35
Element x y z (fractional)
Li  0.0000  0.0000  0.0000
Ni  0.2500  0.7500  0.5000
Ni  0.5000  0.5000  0.0000
Ni  0.7500  0.2500  0.5000

Electronic total energy ... -38.1 eV/cell
Space group ... I4/mmm
ΔE_f ... 0.062 eV/atom



(6)
VASP calculation (r2SCAN) on an optimized crystal structure of LiNiO2.

Lattice parameters (Å, degrees): 5.7024 5.7024 5.7867 120.23 120.23 60.39
Element x y z (fractional)
Li  0.0000  0.0000  0.0000
Li  0.0000  0.0000  0.5000
Li  0.0000  0.5000  0.0000
Li  0.5000  0.0000  0.0000
Ni  0.0000  0.5000  0.5000
Ni  0.5000  0.0000  0.5000
Ni  0.5000  0.5000  0.0000
Ni  0.5000  0.5000  0.5000
O  0.2503  0.2503  0.7116
O  0.2569  0.7187  0.7218
O  0.2640  0.2640  0.2540
O  0.2813  0.7431  0.2782
O  0.7187  0.2569  0.7218
O  0.7360  0.7360  0.7460
O  0.7431  0.2813  0.2782
O  0.7497  0.7497  0.2884

Electronic total energy ... -130.5 eV/cell
Space group ... C2/m
ΔE_f ... -1.578 eV/atom



(7)
VASP calculation (r2SCAN) on an optimized crystal structure of Li5Ni6O12.

Lattice parameters (Å, degrees): 5.7676 6.3419 6.3548 71.21 65.00 76.37
Element x y z (fractional)
Li  0.0000  0.0000  0.0000
Li  0.1643  0.6491  0.3571
Li  0.4836  0.0046  0.9914
Li  0.6514  0.6526  0.3512
Li  0.8253  0.3275  0.6757
Ni  0.0783  0.3245  0.1713
Ni  0.2455  0.9957  0.5081
Ni  0.4047  0.6556  0.8410
Ni  0.5717  0.3277  0.1811
Ni  0.7447  0.9959  0.5120
Ni  0.9068  0.6576  0.8433
O  0.0216  0.6394  0.0845
O  0.1292  0.0110  0.2630
O  0.2152  0.3128  0.3948
O  0.2826  0.6852  0.5990
O  0.3681  0.9677  0.7501
O  0.4194  0.3422  0.9410
O  0.5216  0.6408  0.0855
O  0.6291  0.0135  0.2721
O  0.7466  0.3114  0.4083
O  0.7883  0.6716  0.6054
O  0.8636  0.9792  0.7505
O  0.9204  0.3390  0.9578

Electronic total energy ... -190.0 eV/cell
Space group ... P1
ΔE_f ... -1.500 eV/atom



(8)
VASP calculation (r2SCAN) on an optimized crystal structure of Li3Ni4O8.

Lattice parameters (Å, degrees): 5.0063 5.6269 5.7408 119.34 107.86 90.00
Element x y z (fractional)
Li  0.0000  0.0000  0.0000
Li  0.0022  0.5009  0.4963
Li  0.0058  0.4972  0.9946
Ni  0.4940  0.2446  0.9924
Ni  0.5025  0.2455  0.4964
Ni  0.5025  0.7493  0.4967
Ni  0.5109  0.7488  0.0006
O  0.2790  0.8813  0.7833
O  0.2845  0.3853  0.2442
O  0.2864  0.3951  0.7740
O  0.2982  0.8552  0.2387
O  0.7067  0.1131  0.7544
O  0.7186  0.1177  0.2192
O  0.7204  0.6378  0.7492
O  0.7258  0.5946  0.2098

Electronic total energy ... -124.9 eV/cell
Space group ... P1
ΔE_f ... -1.468 eV/atom
Relative energy among the computed polymorphs ... 0 meV/atom